Density functional theory data (PBE) for FeAsRh after structural relaxation.

POSCAR file:
```
FeAsRh
1.0
0.000 0.000 -3.690
-6.349 -0.010 0.000
-3.166 5.504 0.000
Rh As Fe
3 3 3
direct
0.000 0.000 0.264
0.000 0.736 0.000
0.000 0.263 0.737
0.500 0.000 0.000
0.000 0.667 0.666
0.000 0.334 0.333
0.500 0.396 0.001
0.500 0.604 0.396
0.500 0.999 0.604
```

Output
As for the total magnetization: 2.2 μB/f.u. The calculated density comes out at 9.02 g cm⁻³. The calculation puts the calculated formation energy at -0.1752 eV/atom.